## NdGe2Au2 (PBE-GGA)

Data for a relaxed NdGe2Au2 crystal.

The structure in POSCAR format:
```
NdGe2Au2
1.0
0.5189 -5.6477 -2.4752
2.9237 -4.4235 3.1901
-4.4367 4.2020 0.9753
Au Nd Ge
2 1 2
direct
0.7500 0.2500 0.5000
0.2500 0.7500 0.5000
0.0000 0.0000 0.0000
0.6161 0.6161 0.0000
0.3839 0.3839 0.0000
```

Results
Energy of formation = -2.7 eV/f.u.
DFT total energy = -4.6560 eV per atom
SG = I4/mmm (139)
Calculated volume = 21.00 A^3/atom


## NdGeAu (PBE-GGA)

Data for a relaxed NdGeAu crystal.

The structure in POSCAR format:
```
NdGeAu
1.0
-2.0191 1.0012 3.9090
-1.1951 -3.7113 -2.2709
5.4637 -4.1339 3.8809
Nd Au Ge
2 2 2
direct
0.0000 0.0000 0.2515
0.0000 0.0000 0.7515
0.3333 0.6667 0.0191
0.6667 0.3333 0.5191
0.6667 0.3333 0.9694
0.3333 0.6667 0.4694
```

Results
Energy of formation = -2.5 eV/f.u.
DFT total energy = -5.0525 eV per atom
SG = P6_3mc (186)
Calculated volume = 23.14 A^3/atom


## Pm2GeAu (PBE-GGA)

Data for a relaxed Pm2GeAu crystal.

The structure in POSCAR format:
```
Pm2GeAu
1.0
1.6832 -2.7460 4.1045
2.8407 2.3258 3.7070
-2.0566 0.8393 4.7209
Pm Ge Au
2 1 1
direct
0.2500 0.2500 0.2500
0.7500 0.7500 0.7500
0.0000 0.0000 0.0000
0.5000 0.5000 0.5000
```

Results
Energy of formation = -2.9 eV/f.u.
DFT total energy = -5.0815 eV per atom
SG = Fm-3m (225)
Calculated volume = 25.11 A^3/atom


## PrGeAu (PBE-GGA)

Data for a relaxed PrGeAu crystal.

The structure in POSCAR format:
```
PrGeAu
1.0
2.2617 -3.9173 0.0000
2.2617 3.9173 0.0000
0.0000 0.0000 7.9120
Ge Pr Au
2 2 2
direct
0.6667 0.3333 0.9684
0.3333 0.6667 0.4684
0.0000 0.0000 0.7521
0.0000 0.0000 0.2521
0.3333 0.6667 0.0195
0.6667 0.3333 0.5195
```

Results
Energy of formation = -2.5 eV/f.u.
DFT total energy = -5.0526 eV per atom
SG = P6_3mc (186)
Calculated volume = 23.37 A^3/atom


## ScGeAu (PBE-GGA)

Data for a relaxed ScGeAu crystal.

The structure in POSCAR format:
```
ScGeAu
1.0
-4.0683 0.8104 -1.3898
1.4836 -4.1131 0.1443
-2.3368 -0.6155 6.4815
Ge Sc Au
2 2 2
direct
0.6667 0.3333 0.7987
0.3333 0.6667 0.2987
0.0000 0.0000 0.5017
0.0000 0.0000 0.0017
0.6667 0.3333 0.1989
0.3333 0.6667 0.6989
```

Results
Energy of formation = -2.2 eV/f.u.
DFT total energy = -5.4656 eV per atom
SG = P6_3mc (186)
Calculated volume = 19.11 A^3/atom


## SmGeAu (PBE-GGA)

Data for a relaxed SmGeAu crystal.

The structure in POSCAR format:
```
SmGeAu
1.0
-2.2521 -3.9007 0.0000
-2.2521 3.9007 0.0000
0.0000 0.0000 -7.6169
Au Ge Sm
2 2 2
direct
0.6667 0.3333 0.4745
0.3333 0.6667 0.9745
0.6667 0.3333 0.0365
0.3333 0.6667 0.5365
0.0000 0.0000 0.7490
0.0000 0.0000 0.2490
```

Results
Energy of formation = -2.5 eV/f.u.
DFT total energy = -5.0416 eV per atom
SG = P6_3mc (186)
Calculated volume = 22.30 A^3/atom


## SrGe2Au2 (PBE-GGA)

Data for a relaxed SrGe2Au2 crystal.

The structure in POSCAR format:
```
SrGe2Au2
1.0
4.6086 0.0000 0.0000
0.0000 4.6086 0.0000
-2.3043 -2.3043 5.2517
Sr Ge Au
1 2 2
direct
0.0000 0.0000 0.0000
0.3783 0.3783 0.7567
0.6217 0.6217 0.2433
0.2500 0.7500 0.5000
0.7500 0.2500 0.5000
```

Results
Energy of formation = -2.5 eV/f.u.
DFT total energy = -3.9896 eV per atom
SG = I4/mmm (139)
Calculated volume = 22.31 A^3/atom


## SrGeAu3 (PBE-GGA)

Data for a relaxed SrGeAu3 crystal.

The structure in POSCAR format:
```
SrGeAu3
1.0
-2.6021 5.4395 -2.1170
-5.5631 -1.6096 2.7021
1.5469 2.5768 4.7197
Sr Au Ge
2 6 2
direct
0.5000 0.5000 0.0000
0.0000 0.0000 0.0000
0.5000 0.0000 0.1781
0.0000 0.5000 0.8219
0.2500 0.7500 0.5000
0.7500 0.2500 0.5000
0.7500 0.7500 0.5000
0.2500 0.2500 0.5000
0.0000 0.5000 0.2676
0.5000 0.0000 0.7324
```

Results
Energy of formation = -2.6 eV/f.u.
DFT total energy = -3.7466 eV per atom
SG = P4/nmm (129)
Calculated volume = 22.85 A^3/atom


Look up the calculated volume of the fourth one. 23.37 A^3/atom